(1)
A relaxed structure of SmCdPd2. Source: Materials Project, functional PBE.

Structure (CIF):
```
data_SmCdPd2
_chemical_formula_sum 'Sm4 Cd4 Pd8'
_symmetry_space_group_name_H-M 'F m -3 m'
_symmetry_Int_Tables_number 225
_symmetry_space_group_name_Hall '-F 4 2 3'
_cell_length_a 6.885
_cell_length_b 6.885
_cell_length_c 6.885
_cell_angle_alpha 90.00
_cell_angle_beta 90.00
_cell_angle_gamma 90.00
loop_
_atom_site_label
_atom_site_type_symbol
_atom_site_fract_x
_atom_site_fract_y
_atom_site_fract_z
_atom_site_occupancy
Sm1 Sm 0.000 0.000 0.000 1
Cd1 Cd 0.000 0.000 0.500 1
Pd1 Pd 0.250 0.250 0.250 1
```

(2)
A relaxed structure of Sm4CdPd. Source: Materials Project, functional PBE.

Structure (CIF):
```
data_Sm4CdPd
_chemical_formula_sum 'Sm64 Cd16 Pd16'
_symmetry_space_group_name_H-M 'F -4 3 m'
_symmetry_Int_Tables_number 216
_symmetry_space_group_name_Hall 'F -4 2 3'
_cell_length_a 14.034
_cell_length_b 14.034
_cell_length_c 14.034
_cell_angle_alpha 90.00
_cell_angle_beta 90.00
_cell_angle_gamma 90.00
loop_
_atom_site_label
_atom_site_type_symbol
_atom_site_fract_x
_atom_site_fract_y
_atom_site_fract_z
_atom_site_occupancy
Sm1 Sm 0.000 0.000 0.184 1
Sm2 Sm 0.059 0.250 0.750 1
Sm3 Sm 0.102 0.102 0.398 1
Cd1 Cd 0.169 0.169 0.169 1
Pd1 Pd 0.106 0.106 0.606 1
```

| no. | VASP energy (eV/cell) | formation energy (kcal/mol of atoms) |
| --- | --- | --- |
| 1 | -74.84 | -15.61 |
| 2 | -439.50 | -9.58 |